VASP calculation (GGA-PBE) on crystalline PO2 at its relaxed geometry.

Summary:
ΔE_f: -1606 meV per atom

Lattice parameters (Å, degrees): 3.432 3.432 9.845 80.37 80.37 45.92
Positions (direct):
O  0.411  0.411  0.904
O  0.686  0.686  0.106
P  0.902  0.902  0.010

VASP calculation (GGA-PBE) on crystalline BaTaF7 at its relaxed geometry.

Summary:
ΔE_f: -3778 meV per atom
Distance to the lowest polymorph of the same formula: 86 meV per atom

Lattice parameters (Å, degrees): 10.187 5.762 10.423 87.69 90.00 90.00
Positions (direct):
Ba  0.169  0.310  0.009
Ba  0.831  0.690  0.991
Ba  0.331  0.310  0.509
Ba  0.669  0.690  0.491
F  0.262  0.999  0.259
F  0.304  0.744  0.977
F  0.551  0.899  0.120
F  0.042  0.612  0.887
F  0.762  0.001  0.241
F  0.809  0.469  0.741
F  0.691  0.469  0.241
F  0.458  0.612  0.387
F  0.738  0.001  0.741
F  0.450  0.331  0.135
F  0.950  0.669  0.365
F  0.958  0.388  0.113
F  0.050  0.331  0.635
F  0.045  0.880  0.141
F  0.455  0.880  0.641
F  0.449  0.101  0.880
F  0.955  0.120  0.859
F  0.696  0.256  0.023
F  0.191  0.531  0.259
F  0.309  0.531  0.759
F  0.542  0.388  0.613
F  0.196  0.744  0.477
F  0.545  0.120  0.359
F  0.949  0.899  0.620
F  0.804  0.256  0.523
F  0.051  0.101  0.380
F  0.238  0.999  0.759
F  0.550  0.669  0.865
Ta  0.611  0.185  0.185
Ta  0.111  0.815  0.315
Ta  0.389  0.815  0.815
Ta  0.889  0.185  0.685

VASP calculation (GGA-PBE) on crystalline NiH20C8N10 at its relaxed geometry.

Summary:
ΔE_f: -237 meV per atom

Lattice parameters (Å, degrees): 9.135 6.582 11.443 81.65 90.00 90.00
Positions (direct):
H  0.656  0.205  0.464
H  0.316  0.524  0.094
H  0.344  0.795  0.536
H  0.844  0.205  0.964
H  0.463  0.365  0.136
H  0.576  0.390  0.308
H  0.391  0.927  0.698
H  0.165  0.957  0.556
H  0.076  0.610  0.192
H  0.537  0.635  0.864
H  0.924  0.390  0.808
H  0.109  0.927  0.198
H  0.684  0.476  0.906
H  0.156  0.795  0.036
H  0.211  0.131  0.970
H  0.184  0.524  0.594
H  0.891  0.073  0.802
H  0.037  0.365  0.636
H  0.711  0.869  0.530
H  0.816  0.476  0.406
H  0.963  0.635  0.364
H  0.289  0.131  0.470
H  0.477  0.108  0.776
H  0.597  0.836  0.047
H  0.609  0.073  0.302
H  0.097  0.164  0.453
H  0.789  0.869  0.030
H  0.205  0.152  0.224
H  0.665  0.043  0.944
H  0.977  0.892  0.724
H  0.835  0.043  0.444
H  0.795  0.848  0.776
H  0.523  0.892  0.224
H  0.403  0.164  0.953
H  0.023  0.108  0.276
H  0.424  0.610  0.692
H  0.335  0.957  0.056
H  0.295  0.152  0.724
H  0.705  0.848  0.276
H  0.903  0.836  0.547
C  0.393  0.540  0.261
C  0.316  0.048  0.969
C  0.127  0.033  0.262
C  0.778  0.238  0.125
C  0.607  0.460  0.739
C  0.684  0.952  0.031
C  0.278  0.762  0.375
C  0.816  0.952  0.531
C  0.722  0.238  0.625
C  0.873  0.967  0.738
C  0.184  0.048  0.469
C  0.222  0.762  0.875
C  0.373  0.033  0.762
C  0.627  0.967  0.238
C  0.893  0.460  0.239
C  0.107  0.540  0.761
N  0.404  0.490  0.148
N  0.678  0.079  0.126
N  0.822  0.079  0.626
N  0.643  0.297  0.528
N  0.596  0.510  0.852
N  0.216  0.675  0.775
N  0.510  0.537  0.658
N  0.322  0.921  0.874
N  0.284  0.675  0.275
N  0.178  0.921  0.374
N  0.990  0.537  0.158
N  0.490  0.463  0.342
N  0.904  0.510  0.352
N  0.357  0.703  0.472
N  0.096  0.490  0.648
N  0.857  0.297  0.028
N  0.784  0.325  0.225
N  0.143  0.703  0.972
N  0.010  0.463  0.842
N  0.716  0.325  0.725
Ni  0.000  0.500  0.000
Ni  0.500  0.500  0.500

VASP calculation (GGA-PBE) on crystalline SiO2 at its relaxed geometry.

Summary:
ΔE_f: -3252 meV per atom

Lattice parameters (Å, degrees): 13.455 13.455 13.455 92.22 92.22 157.30
Positions (direct):
Si  0.226  0.342  0.569
Si  0.342  0.226  0.569
Si  0.500  0.719  0.219
Si  0.500  0.281  0.781
Si  0.121  0.000  0.121
Si  0.342  0.774  0.116
Si  0.658  0.774  0.431
Si  0.281  0.500  0.781
Si  0.774  0.342  0.116
Si  0.226  0.658  0.884
Si  0.000  0.121  0.121
Si  0.719  0.500  0.219
Si  0.000  0.879  0.879
Si  0.774  0.658  0.431
Si  0.879  0.000  0.879
Si  0.658  0.226  0.884
O  0.750  0.580  0.830
O  0.429  0.231  0.660
O  0.433  0.567  0.500
O  0.072  0.072  0.143
O  0.072  0.928  0.000
O  0.571  0.769  0.340
O  0.067  0.933  0.500
O  0.250  0.080  0.830
O  0.567  0.067  0.133
O  0.928  0.928  0.857
O  0.080  0.250  0.830
O  0.420  0.250  0.170
O  0.693  0.693  0.386
O  0.231  0.429  0.660
O  0.920  0.750  0.170
O  0.769  0.429  0.198
O  0.067  0.567  0.133
O  0.231  0.571  0.802
O  0.567  0.433  0.500
O  0.769  0.571  0.340
O  0.933  0.067  0.500
O  0.571  0.231  0.802
O  0.933  0.433  0.867
O  0.307  0.693  0.000
O  0.433  0.933  0.867
O  0.928  0.072  0.000
O  0.250  0.420  0.170
O  0.750  0.920  0.170
O  0.580  0.750  0.830
O  0.693  0.307  0.000
O  0.307  0.307  0.614
O  0.429  0.769  0.198

> Number 2 is which compound?

BaTaF7

Copy entry 1 word for word.
VASP calculation (GGA-PBE) on crystalline PO2 at its relaxed geometry.

Summary:
ΔE_f: -1606 meV per atom

Lattice parameters (Å, degrees): 3.432 3.432 9.845 80.37 80.37 45.92
Positions (direct):
O  0.411  0.411  0.904
O  0.686  0.686  0.106
P  0.902  0.902  0.010